(1)
The following is a DFT calculation (PBE) of an optimized crystal structure of Li17Ag12F29.

a b c (Å): 10.905 10.905 10.905
angles (deg): 60.00 60.00 60.00
Element x y z (fractional)
Li 0.853 0.442 0.853
Li 0.671 0.671 0.671
Li 0.853 0.853 0.442
Li 0.442 0.853 0.853
Li 0.987 0.671 0.671
Li 0.671 0.671 0.987
Li 0.671 0.987 0.671
Li 0.853 0.853 0.853
Li 0.364 0.364 0.364
Li 0.364 0.364 0.908
Li 0.908 0.364 0.364
Li 0.500 0.500 0.500
Li 0.364 0.908 0.364
Li 0.147 0.147 0.147
Li 0.558 0.147 0.147
Li 0.147 0.147 0.558
Li 0.147 0.558 0.147
Ag 0.298 0.298 0.702
Ag 0.702 0.298 0.298
Ag 0.298 0.702 0.298
Ag 0.702 0.298 0.702
Ag 0.298 0.702 0.702
Ag 0.702 0.702 0.298
Ag 0.005 0.005 0.495
Ag 0.495 0.005 0.005
Ag 0.495 0.005 0.495
Ag 0.005 0.495 0.005
Ag 0.005 0.495 0.495
Ag 0.495 0.495 0.005
F 0.750 0.750 0.750
F 0.249 0.249 0.532
F 0.532 0.249 0.249
F 0.465 0.034 0.751
F 0.751 0.034 0.465
F 0.249 0.532 0.249
F 0.751 0.034 0.751
F 0.034 0.465 0.751
F 0.751 0.465 0.034
F 0.249 0.249 0.970
F 0.970 0.249 0.249
F 0.432 0.432 0.432
F 0.034 0.751 0.465
F 0.465 0.751 0.034
F 0.432 0.432 0.705
F 0.705 0.432 0.432
F 0.532 0.249 0.970
F 0.970 0.249 0.532
F 0.432 0.705 0.432
F 0.249 0.532 0.970
F 0.970 0.532 0.249
F 0.751 0.751 0.034
F 0.034 0.751 0.751
F 0.751 0.465 0.751
F 0.249 0.970 0.249
F 0.751 0.751 0.465
F 0.465 0.751 0.751
F 0.249 0.970 0.532
F 0.532 0.970 0.249

Properties
* raw total energy: -4.13 eV/atom
* magnetic moment: 0.001 μB/cell
* ΔH_f (0 K): -2.25 eV/atom
* E (MP2020): -252.7 eV/cell

(2)
The following is a DFT calculation (PBE) of an optimized crystal structure of MgAgF3.

a b c (Å): 5.628 5.628 5.628
angles (deg): 59.84 59.84 59.84
Element x y z (fractional)
Mg 0.000 0.000 0.000
Mg 0.500 0.500 0.500
Ag 0.250 0.250 0.250
Ag 0.750 0.750 0.750
F 0.811 0.250 0.689
F 0.689 0.811 0.250
F 0.250 0.689 0.811
F 0.311 0.189 0.750
F 0.189 0.750 0.311
F 0.750 0.311 0.189

Properties
* raw total energy: -4.53 eV/atom
* ΔH_f (0 K): -2.77 eV/atom
* E (MP2020): -48.1 eV/cell

(3)
The following is a DFT calculation (PBE) of an optimized crystal structure of MgAgF3.

a b c (Å): 3.988 3.988 3.988
angles (deg): 90.00 90.00 90.00
Element x y z (fractional)
Mg 0.000 0.000 0.000
Ag 0.500 0.500 0.500
F 0.500 0.000 0.000
F 0.000 0.500 0.000
F 0.000 0.000 0.500

Properties
* raw total energy: -4.51 eV/atom
* magnetic moment: 0.000 μB/cell
* ΔH_f (0 K): -2.76 eV/atom
* E (MP2020): -24.0 eV/cell

(4)
The following is a DFT calculation (PBE) of an optimized crystal structure of Ag3P2NO6F2.

a b c (Å): 16.497 16.497 9.991
angles (deg): 72.98 72.98 19.36
Element x y z (fractional)
Ag 0.819 0.274 0.829
Ag 0.726 0.181 0.171
Ag 0.367 0.725 0.329
Ag 0.275 0.633 0.671
Ag 0.217 0.783 0.000
Ag 0.878 0.122 0.500
Ag 0.588 0.001 0.005
Ag 0.999 0.412 0.995
Ag 0.096 0.491 0.496
Ag 0.509 0.904 0.504
Ag 0.526 0.976 0.750
Ag 0.024 0.474 0.250
P 0.106 0.512 0.816
P 0.488 0.894 0.184
P 0.612 0.006 0.315
P 0.994 0.388 0.685
P 0.905 0.213 0.141
P 0.787 0.095 0.859
P 0.307 0.812 0.641
P 0.188 0.693 0.359
N 0.449 0.803 0.912
N 0.197 0.551 0.088
N 0.907 0.344 0.409
N 0.656 0.093 0.591
O 0.243 0.354 0.701
O 0.646 0.757 0.299
O 0.764 0.836 0.202
O 0.164 0.236 0.798
O 0.186 0.390 0.963
O 0.610 0.814 0.037
O 0.688 0.890 0.464
O 0.110 0.312 0.536
O 0.827 0.776 0.805
O 0.224 0.173 0.195
O 0.335 0.264 0.300
O 0.736 0.665 0.700
O 0.726 0.352 0.051
O 0.648 0.274 0.949
O 0.445 0.633 0.551
O 0.367 0.555 0.449
O 0.162 0.932 0.138
O 0.068 0.838 0.862
O 0.026 0.069 0.638
O 0.931 0.974 0.362
O 0.800 0.302 0.290
O 0.698 0.200 0.710
O 0.396 0.707 0.790
O 0.293 0.604 0.210
F 0.184 0.535 0.789
F 0.465 0.816 0.211
F 0.677 0.043 0.288
F 0.957 0.323 0.712
F 0.942 0.277 0.070
F 0.723 0.058 0.930
F 0.373 0.847 0.569
F 0.153 0.627 0.431

Properties
* raw total energy: -5.38 eV/atom
* magnetic moment: 15.303 μB/cell
* ΔH_f (0 K): -1.37 eV/atom
* E (MP2020): -321.6 eV/cell

(5)
The following is a DFT calculation (PBE) of an optimized crystal structure of NaAgF4.

a b c (Å): 6.689 6.689 6.689
angles (deg): 129.87 129.87 73.62
Element x y z (fractional)
Na 0.250 0.250 0.000
Na 0.750 0.750 0.000
Ag 0.500 0.000 0.500
Ag 0.000 0.500 0.500
F 0.450 0.950 0.145
F 0.196 0.696 0.145
F 0.550 0.050 0.855
F 0.050 0.196 0.500
F 0.804 0.304 0.855
F 0.304 0.450 0.500
F 0.950 0.804 0.500
F 0.696 0.550 0.500

Properties
* raw total energy: -3.64 eV/atom
* ΔH_f (0 K): -1.98 eV/atom
* E (MP2020): -47.4 eV/cell

(6)
The following is a DFT calculation (PBE) of an optimized crystal structure of Na2AgF4.

a b c (Å): 10.527 3.385 6.184
angles (deg): 65.89 90.00 90.00
Element x y z (fractional)
Na 0.652 0.251 0.968
Na 0.152 0.749 0.532
Na 0.348 0.749 0.032
Na 0.848 0.251 0.468
Ag 0.500 0.000 0.500
Ag 0.000 0.000 0.000
F 0.062 0.428 0.292
F 0.562 0.572 0.208
F 0.938 0.572 0.708
F 0.438 0.428 0.792
F 0.327 0.043 0.311
F 0.827 0.957 0.189
F 0.673 0.957 0.689
F 0.173 0.043 0.811

Properties
* raw total energy: -3.93 eV/atom
* ΔH_f (0 K): -2.32 eV/atom
* E (MP2020): -58.7 eV/cell